Record 1
DySiRh | PBE | relaxed

Results
DFT formation energy	-3.15	eV/f.u.
space group	No. 62
V	18.17	A^3/atom

```
12
Lattice="6.9337 0.0000 0.0000 0.0000 4.2602 0.0000 0.0000 0.0000 7.3818" Properties=species:S:1:pos:R:3 pbc="T T T"
Dy 0.0103 1.0651 1.3967
Dy 3.4565 3.1952 5.0877
Dy 3.4772 1.0651 2.2942
Dy 6.9233 3.1952 5.9851
Si 1.4135 1.0651 4.4604
Si 2.0533 3.1952 0.7695
Si 4.8803 1.0651 6.6123
Si 5.5202 3.1952 2.9214
Rh 1.0677 3.1952 3.1768
Rh 2.3992 1.0651 6.8677
Rh 4.5345 3.1952 0.5142
Rh 5.8660 1.0651 4.2051
```

Record 2
Dy2Si5Rh3 | PBE | relaxed

Results
DFT formation energy	-9.73	eV/f.u.
space group	No. 15
V	16.50	A^3/atom

```
20
Lattice="5.5701 -5.9047 0.0000 5.5701 5.9047 0.0000 -2.6887 0.0000 5.0181" Properties=species:S:1:pos:R:3 pbc="T T T"
Dy 1.9495 1.5881 1.1949
Dy 0.6052 -1.5881 3.7039
Dy 7.8464 1.5881 1.3142
Dy 6.5020 -1.5881 3.8233
Si 3.5536 5.7670 3.7636
Si 1.5071 1.2247 4.2040
Si 3.5536 2.6318 3.7636
Si 4.8980 2.4764 1.2545
Si 2.8515 -1.2247 1.6949
Si 5.6001 1.2247 3.3232
Si 3.5536 -2.4764 3.7636
Si 4.8980 -2.6318 1.2545
Si 6.9444 -1.2247 0.8142
Si 4.8980 -5.7670 1.2545
Rh 3.4520 4.2507 1.8819
Rh 6.3439 4.2507 0.6272
Rh 4.8980 0.0211 1.2545
Rh 3.5536 -0.0211 3.7636
Rh 2.1076 -4.2507 4.3910
Rh 4.9995 -4.2507 3.1363
```

Record 3
Dy2Si5Rh3 | PBE | relaxed

Results
DFT formation energy	-9.71	eV/f.u.
space group	No. 72
V	16.55	A^3/atom

```
20
Lattice="-4.9461 5.8096 2.8804 4.9461 -5.8096 2.8804 4.9461 5.8096 -2.8804" Properties=species:S:1:pos:R:3 pbc="T T T"
Dy 2.2910 1.5352 0.0000
Dy 2.2910 -1.5352 2.8804
Dy 2.6551 7.3448 0.0000
Dy 2.6551 4.2743 2.8804
Si 4.9461 -2.5724 1.4402
Si 6.5065 1.2306 0.0000
Si 0.0000 0.0000 1.4402
Si 1.5604 4.5789 0.0000
Si 4.9461 2.5724 1.4402
Si 0.0000 3.2372 1.4402
Si 3.3857 1.2306 2.8804
Si 0.0000 0.0000 4.3207
Si -1.5604 4.5789 2.8804
Si 0.0000 8.3819 1.4402
Rh 3.8672 -4.1826 2.8804
Rh 4.9461 0.0000 1.4402
Rh 3.8672 4.1826 0.0000
Rh 1.0789 1.6270 2.8804
Rh 0.0000 5.8096 1.4402
Rh 1.0789 9.9921 0.0000
```

Record 4
Dy2Sn5Rh3 | PBE | relaxed

Results
DFT formation energy	-7.00	eV/f.u.
space group	No. 36
V	21.41	A^3/atom

```
20
Lattice="2.1990 -13.2750 0.0000 2.1990 13.2750 0.0000 0.0000 0.0000 7.3345" Properties=species:S:1:pos:R:3 pbc="T T T"
Dy 2.1990 12.6359 3.6673
Dy 2.1990 4.5918 3.8038
Dy 2.1990 -4.5918 0.1365
Dy 2.1990 -12.6359 0.0000
Sn 2.1990 10.7177 6.4384
Sn 2.1990 7.8418 2.2986
Sn 2.1990 7.7159 5.4321
Sn 2.1990 3.1716 7.2897
Sn 2.1990 1.2663 4.8455
Sn 2.1990 -1.2663 1.1783
Sn 2.1990 -3.1716 3.6224
Sn 2.1990 -7.7159 1.7649
Sn 2.1990 -7.8418 5.9658
Sn 2.1990 -10.7177 2.7711
Rh 2.1990 10.4645 1.8020
Rh 2.1990 5.9327 0.2073
Rh 2.1990 1.3318 2.0699
Rh 2.1990 -1.3318 5.7372
Rh 2.1990 -5.9327 3.8745
Rh 2.1990 -10.4645 5.4692
```

Record 5
DySnRh2 | PBE | relaxed

Results
DFT formation energy	-3.18	eV/f.u.
space group	No. 225
V	18.47	A^3/atom

```
16
Lattice="6.6604 0.0000 0.0000 0.0000 6.6604 0.0000 0.0000 0.0000 6.6604" Properties=species:S:1:pos:R:3 pbc="T T T"
Dy 0.0000 0.0000 0.0000
Dy 0.0000 3.3302 3.3302
Dy 3.3302 0.0000 3.3302
Dy 3.3302 3.3302 0.0000
Sn 0.0000 0.0000 3.3302
Sn 0.0000 3.3302 0.0000
Sn 3.3302 0.0000 0.0000
Sn 3.3302 3.3302 3.3302
Rh 1.6651 1.6651 1.6651
Rh 1.6651 1.6651 4.9953
Rh 1.6651 4.9953 1.6651
Rh 1.6651 4.9953 4.9953
Rh 4.9953 1.6651 1.6651
Rh 4.9953 1.6651 4.9953
Rh 4.9953 4.9953 1.6651
Rh 4.9953 4.9953 4.9953
```

Record 6
DySnRh | PBE | relaxed

Results
DFT formation energy	-2.69	eV/f.u.
space group	No. 189
V	21.35	A^3/atom

```
9
Lattice="7.5854 0.0000 0.0000 -3.7927 6.5691 0.0000 0.0000 0.0000 3.8563" Properties=species:S:1:pos:R:3 pbc="T T T"
Dy -2.2417 3.8827 0.0000
Dy 1.5510 2.6864 0.0000
Dy 4.4834 0.0000 0.0000
Sn -0.9828 1.7023 1.9281
Sn 1.9657 0.0000 1.9281
Sn 2.8098 4.8668 1.9281
Rh 0.0000 0.0000 0.0000
Rh 0.0000 4.3794 1.9281
Rh 3.7927 2.1897 1.9281
```

Record 7
Dy5Sn18Rh6 | PBE | relaxed

Results
DFT formation energy	-15.63	eV/f.u.
space group	No. 216
V	23.79	A^3/atom

```
29
Lattice="0.0000 7.0130 7.0130 7.0130 0.0000 7.0130 7.0130 7.0130 0.0000" Properties=species:S:1:pos:R:3 pbc="T T T"
Dy 0.0000 0.0000 0.0000
Dy 8.8379 5.1881 5.1881
Dy 5.1881 8.8379 5.1881
Dy 5.1881 5.1881 8.8379
Dy 8.8379 8.8379 8.8379
Sn 2.4530 2.4530 0.1114
Sn 4.5600 4.5600 0.1114
Sn 2.4530 0.1114 2.4530
Sn 6.9016 4.5600 2.4530
Sn 4.5600 0.1114 4.5600
Sn 6.9016 2.4530 4.5600
Sn 3.5065 3.5065 3.5065
Sn 0.1114 2.4530 2.4530
Sn 4.5600 6.9016 2.4530
Sn 4.5600 2.4530 6.9016
Sn 5.7783 5.7783 5.7783
Sn 8.2477 8.2477 5.7783
Sn 8.2477 5.7783 8.2477
Sn 0.1114 4.5600 4.5600
Sn 2.4530 6.9016 4.5600
Sn 2.4530 4.5600 6.9016
Sn 10.5195 10.5195 10.5195
Sn 5.7783 8.2477 8.2477
Rh 7.0130 7.0130 3.5605
Rh 7.0130 3.5605 7.0130
Rh 10.4654 7.0130 7.0130
Rh 3.5605 7.0130 7.0130
Rh 7.0130 10.4654 7.0130
Rh 7.0130 7.0130 10.4654
```

Record 8
TbDyRh2 | PBE | relaxed

Results
DFT formation energy	-3.44	eV/f.u.
space group	No. 225
V	20.30	A^3/atom

```
16
Lattice="6.8743 0.0000 0.0000 0.0000 6.8743 0.0000 0.0000 0.0000 6.8743" Properties=species:S:1:pos:R:3 pbc="T T T"
Tb 0.0000 0.0000 0.0000
Tb 0.0000 3.4372 3.4372
Tb 3.4372 0.0000 3.4372
Tb 3.4372 3.4372 0.0000
Dy 0.0000 0.0000 3.4372
Dy 0.0000 3.4372 0.0000
Dy 3.4372 0.0000 0.0000
Dy 3.4372 3.4372 3.4372
Rh 1.7186 1.7186 1.7186
Rh 1.7186 1.7186 5.1557
Rh 1.7186 5.1557 1.7186
Rh 1.7186 5.1557 5.1557
Rh 5.1557 1.7186 1.7186
Rh 5.1557 1.7186 5.1557
Rh 5.1557 5.1557 1.7186
Rh 5.1557 5.1557 5.1557
```

Record 9
DyTlRh2 | PBE | relaxed

Results
DFT formation energy	-2.18	eV/f.u.
space group	No. 225
V	18.84	A^3/atom

```
16
Lattice="6.7046 0.0000 0.0000 0.0000 6.7046 0.0000 0.0000 0.0000 6.7046" Properties=species:S:1:pos:R:3 pbc="T T T"
Dy 0.0000 0.0000 0.0000
Dy 0.0000 3.3523 3.3523
Dy 3.3523 0.0000 3.3523
Dy 3.3523 3.3523 0.0000
Tl 0.0000 0.0000 3.3523
Tl 0.0000 3.3523 0.0000
Tl 3.3523 0.0000 0.0000
Tl 3.3523 3.3523 3.3523
Rh 1.6762 1.6762 1.6762
Rh 1.6762 1.6762 5.0285
Rh 1.6762 5.0285 1.6762
Rh 1.6762 5.0285 5.0285
Rh 5.0285 1.6762 1.6762
Rh 5.0285 1.6762 5.0285
Rh 5.0285 5.0285 1.6762
Rh 5.0285 5.0285 5.0285
```

Record 10
DyZn20Rh2 | PBE | relaxed

Results
DFT formation energy	-5.61	eV/f.u.
space group	No. 227
V	16.50	A^3/atom

```
46
Lattice="0.0000 7.2402 7.2402 7.2402 0.0000 7.2402 7.2402 7.2402 0.0000" Properties=species:S:1:pos:R:3 pbc="T T T"
Dy 1.8101 1.8101 1.8101
Dy 12.6704 12.6704 12.6704
Zn 0.0000 0.0000 0.0000
Zn 3.6201 3.6201 0.0000
Zn 3.6201 0.0000 3.6201
Zn 4.6890 2.7544 2.7544
Zn 8.1060 6.1714 2.7544
Zn 8.1060 2.7544 6.1714
Zn 9.7915 6.3745 6.3745
Zn 11.7261 8.3091 6.3745
Zn 11.7261 6.3745 8.3091
Zn 5.4302 5.4302 3.4328
Zn 5.4302 3.4328 5.4302
Zn 7.4276 5.4302 5.4302
Zn 2.7544 4.6890 2.7544
Zn 6.1714 8.1060 2.7544
Zn 2.7544 2.7544 4.6890
Zn 8.1060 8.1060 4.6890
Zn 6.1714 2.7544 8.1060
Zn 8.1060 4.6890 8.1060
Zn 9.0503 9.0503 7.0529
Zn 9.0503 7.0529 9.0503
Zn 11.0477 9.0503 9.0503
Zn 0.0000 3.6201 3.6201
Zn 3.4328 5.4302 5.4302
Zn 5.4302 7.4276 5.4302
Zn 5.4302 5.4302 7.4276
Zn 6.3745 9.7915 6.3745
Zn 8.3091 11.7261 6.3745
Zn 6.3745 6.3745 9.7915
Zn 11.7261 11.7261 9.7915
Zn 8.3091 6.3745 11.7261
Zn 11.7261 9.7915 11.7261
Zn 7.0529 9.0503 9.0503
Zn 9.0503 11.0477 9.0503
Zn 9.0503 9.0503 11.0477
Zn 2.7544 8.1060 6.1714
Zn 2.7544 6.1714 8.1060
Zn 4.6890 8.1060 8.1060
Zn 6.3745 11.7261 8.3091
Zn 6.3745 8.3091 11.7261
Zn 9.7915 11.7261 11.7261
Rh 7.2402 3.6201 3.6201
Rh 3.6201 7.2402 3.6201
Rh 3.6201 3.6201 7.2402
Rh 7.2402 7.2402 7.2402
```

Record 11
DyZnRh2 | PBE | relaxed

Results
DFT formation energy	-2.63	eV/f.u.
space group	No. 225
V	16.91	A^3/atom

```
16
Lattice="6.4677 0.0000 0.0000 0.0000 6.4677 0.0000 0.0000 0.0000 6.4677" Properties=species:S:1:pos:R:3 pbc="T T T"
Dy 0.0000 0.0000 0.0000
Dy 0.0000 3.2339 3.2339
Dy 3.2339 0.0000 3.2339
Dy 3.2339 3.2339 0.0000
Zn 0.0000 0.0000 3.2339
Zn 0.0000 3.2339 0.0000
Zn 3.2339 0.0000 0.0000
Zn 3.2339 3.2339 3.2339
Rh 1.6169 1.6169 1.6169
Rh 1.6169 1.6169 4.8508
Rh 1.6169 4.8508 1.6169
Rh 1.6169 4.8508 4.8508
Rh 4.8508 1.6169 1.6169
Rh 4.8508 1.6169 4.8508
Rh 4.8508 4.8508 1.6169
Rh 4.8508 4.8508 4.8508
```

Record 12
DyZnRh | PBE | relaxed

Results
DFT formation energy	-2.21	eV/f.u.
space group	No. 62
V	19.06	A^3/atom

```
12
Lattice="6.9396 0.0000 0.0000 0.0000 4.0509 0.0000 0.0000 0.0000 8.1366" Properties=species:S:1:pos:R:3 pbc="T T T"
Dy 0.2693 1.0127 1.4977
Dy 3.2005 3.0382 5.5660
Dy 3.7391 1.0127 2.5706
Dy 6.6703 3.0382 6.6389
Zn 0.9507 1.0127 4.5860
Zn 2.5191 3.0382 0.5177
Zn 4.4205 1.0127 7.6189
Zn 5.9889 3.0382 3.5506
Rh 1.7003 3.0382 3.0650
Rh 1.7695 1.0127 7.1333
Rh 5.1701 3.0382 1.0033
Rh 5.2393 1.0127 5.0716
```

Record 13
DyRu3 | PBE | relaxed

Results
DFT formation energy	0.68	eV/f.u.
space group	No. 221
V	16.57	A^3/atom

```
4
Lattice="4.0473 0.0000 0.0000 0.0000 4.0473 0.0000 0.0000 0.0000 4.0473" Properties=species:S:1:pos:R:3 pbc="T T T"
Dy 0.0000 0.0000 0.0000
Ru 0.0000 2.0236 2.0236
Ru 2.0236 0.0000 2.0236
Ru 2.0236 2.0236 0.0000
```

Record 14
Dy3Ru | PBE | relaxed

Results
DFT formation energy	-1.30	eV/f.u.
space group	No. 62
V	26.50	A^3/atom

```
16
Lattice="7.3029 0.0000 0.0000 0.0000 9.2056 0.0000 0.0000 0.0000 6.3076" Properties=species:S:1:pos:R:3 pbc="T T T"
Dy 0.2945 2.3014 0.8543
Dy 1.2926 0.5965 4.2259
Dy 1.2926 4.0063 4.2259
Dy 2.3588 5.1993 1.0721
Dy 2.3588 8.6091 1.0721
Dy 3.3569 6.9042 4.0081
Dy 3.9459 2.3014 2.2995
Dy 4.9441 0.5965 5.2355
Dy 4.9441 4.0063 5.2355
Dy 6.0102 5.1993 2.0817
Dy 6.0102 8.6091 2.0817
Dy 7.0084 6.9042 5.4533
Ru 0.8366 6.9042 2.9014
Ru 2.8148 2.3014 6.0552
Ru 4.4880 6.9042 0.2524
Ru 6.4663 2.3014 3.4062
```

Record 15
Dy3Ru2 | PBE | relaxed

Results
DFT formation energy	-1.40	eV/f.u.
space group	No. 176
V	23.67	A^3/atom

```
10
Lattice="7.5829 0.0000 0.0000 -3.7915 6.5670 0.0000 0.0000 0.0000 4.7527" Properties=species:S:1:pos:R:3 pbc="T T T"
Dy -2.0394 4.5680 1.1882
Dy 0.8552 2.5168 1.1882
Dy 2.6072 0.5178 3.5645
Dy 1.1842 6.0492 1.1882
Dy 2.9363 4.0502 3.5645
Dy 5.8309 1.9990 3.5645
Ru 0.0000 0.0000 0.0000
Ru 0.0000 0.0000 2.3763
Ru 0.0000 4.3780 3.5645
Ru 3.7915 2.1890 1.1882
```

Record 16
DySiRu | PBE | relaxed

Results
DFT formation energy	-2.49	eV/f.u.
space group	No. 62
V	18.01	A^3/atom

```
12
Lattice="7.0028 0.0000 0.0000 0.0000 4.3414 0.0000 0.0000 0.0000 7.1091" Properties=species:S:1:pos:R:3 pbc="T T T"
Dy 0.0982 1.0853 1.3267
Dy 3.4032 3.2560 4.8813
Dy 3.5995 1.0853 2.2278
Dy 6.9046 3.2560 5.7824
Si 1.3708 1.0853 4.3090
Si 2.1306 3.2560 0.7544
Si 4.8722 1.0853 6.3547
Si 5.6320 3.2560 2.8001
Ru 1.0711 3.2560 3.0759
Ru 2.4303 1.0853 6.6304
Ru 4.5725 3.2560 0.4787
Ru 5.9317 1.0853 4.0332
```

Record 17
DySi2Ru2 | PBE | relaxed

Results
DFT formation energy	-4.58	eV/f.u.
space group	No. 139
V	16.74	A^3/atom

```
10
Lattice="4.1842 0.0000 0.0000 0.0000 4.1842 0.0000 0.0000 0.0000 9.5602" Properties=species:S:1:pos:R:3 pbc="T T T"
Dy 0.0000 0.0000 0.0000
Dy 2.0921 2.0921 4.7801
Si 0.0000 0.0000 3.5212
Si 0.0000 0.0000 6.0391
Si 2.0921 2.0921 1.2590
Si 2.0921 2.0921 8.3013
Ru 0.0000 2.0921 2.3901
Ru 0.0000 2.0921 7.1702
Ru 2.0921 0.0000 2.3901
Ru 2.0921 0.0000 7.1702
```

Record 18
SmDyRu2 | PBE | relaxed

Results
DFT formation energy	-0.96	eV/f.u.
space group	No. 225
V	20.30	A^3/atom

```
16
Lattice="6.8738 0.0000 0.0000 0.0000 6.8738 0.0000 0.0000 0.0000 6.8738" Properties=species:S:1:pos:R:3 pbc="T T T"
Sm 0.0000 0.0000 0.0000
Sm 0.0000 3.4369 3.4369
Sm 3.4369 0.0000 3.4369
Sm 3.4369 3.4369 0.0000
Dy 0.0000 0.0000 3.4369
Dy 0.0000 3.4369 0.0000
Dy 3.4369 0.0000 0.0000
Dy 3.4369 3.4369 3.4369
Ru 1.7184 1.7184 1.7184
Ru 1.7184 1.7184 5.1553
Ru 1.7184 5.1553 1.7184
Ru 1.7184 5.1553 5.1553
Ru 5.1553 1.7184 1.7184
Ru 5.1553 1.7184 5.1553
Ru 5.1553 5.1553 1.7184
Ru 5.1553 5.1553 5.1553
```

Record 19
DyTaRu2 | PBE | relaxed

Results
DFT formation energy	-1.45	eV/f.u.
space group	No. 225
V	17.56	A^3/atom

```
16
Lattice="6.5493 0.0000 0.0000 0.0000 6.5493 0.0000 0.0000 0.0000 6.5493" Properties=species:S:1:pos:R:3 pbc="T T T"
Dy 0.0000 0.0000 0.0000
Dy 0.0000 3.2746 3.2746
Dy 3.2746 0.0000 3.2746
Dy 3.2746 3.2746 0.0000
Ta 0.0000 0.0000 3.2746
Ta 0.0000 3.2746 0.0000
Ta 3.2746 0.0000 0.0000
Ta 3.2746 3.2746 3.2746
Ru 1.6373 1.6373 1.6373
Ru 1.6373 1.6373 4.9120
Ru 1.6373 4.9120 1.6373
Ru 1.6373 4.9120 4.9120
Ru 4.9120 1.6373 1.6373
Ru 4.9120 1.6373 4.9120
Ru 4.9120 4.9120 1.6373
Ru 4.9120 4.9120 4.9120
```

Record 20
DyThRu2 | PBE | relaxed

Results
DFT formation energy	-1.71	eV/f.u.
space group	No. 225
V	21.04	A^3/atom

```
16
Lattice="6.9565 0.0000 0.0000 0.0000 6.9565 0.0000 0.0000 0.0000 6.9565" Properties=species:S:1:pos:R:3 pbc="T T T"
Dy 0.0000 0.0000 0.0000
Dy 0.0000 3.4782 3.4782
Dy 3.4782 0.0000 3.4782
Dy 3.4782 3.4782 0.0000
Th 0.0000 0.0000 3.4782
Th 0.0000 3.4782 0.0000
Th 3.4782 0.0000 0.0000
Th 3.4782 3.4782 3.4782
Ru 1.7391 1.7391 1.7391
Ru 1.7391 1.7391 5.2173
Ru 1.7391 5.2173 1.7391
Ru 1.7391 5.2173 5.2173
Ru 5.2173 1.7391 1.7391
Ru 5.2173 1.7391 5.2173
Ru 5.2173 5.2173 1.7391
Ru 5.2173 5.2173 5.2173
```